No. 1
VASP calculation (PBE-GGA) on a relaxed structure of SiH8.

- Piezoelectric modulus e_max: 0.0 C/m2
- Corrected total energy (MP2020 scheme): -0.2770 Ry per atom
- Theoretical density: 507 kg/m3
- Energy above the lowest structure with this stoichiometry: 0.0 kJ per mole of atoms
- Space group: I-4m2 (119)

a b c (Å): 5.489 5.489 5.489
angles (deg): 119.16 119.16 91.46
Atoms (fractional coordinates):
H  0.451  0.451  0.000
H  0.104  0.886  0.218
H  0.799  0.299  0.500
H  0.549  0.549  0.000
H  0.668  0.886  0.782
H  0.114  0.332  0.218
H  0.701  0.201  0.500
H  0.114  0.896  0.782
Si  0.000  0.000  0.000

No. 2
VASP calculation (PBE-GGA) on a relaxed structure of SiH8.

- Corrected total energy (MP2020 scheme): -0.2763 Ry per atom
- Theoretical density: 612 kg/m3
- Energy above the lowest structure with this stoichiometry: 0.9 kJ per mole of atoms
- Space group: Pmn2_1 (31)

a b c (Å): 5.213 5.222 7.210
angles (deg): 90.00 90.00 90.00
Atoms (fractional coordinates):
H  0.247  0.267  0.739
H  0.712  0.000  0.810
H  0.222  0.500  0.403
Si  0.247  0.500  0.858
Si  0.753  0.000  0.358
H  0.709  0.500  0.559
H  0.753  0.767  0.239
H  0.481  0.500  0.978
H  0.753  0.233  0.239
H  0.247  0.733  0.739
H  0.778  0.000  0.903
H  0.519  0.000  0.478
H  0.291  0.000  0.059
H  0.013  0.500  0.978
H  0.288  0.500  0.310
H  0.987  0.000  0.478
H  0.761  0.500  0.655
H  0.239  0.000  0.155

No. 3
VASP calculation (PBE-GGA) on a relaxed structure of SrH3.

- Corrected total energy (MP2020 scheme): -0.2290 Ry per atom
- Theoretical density: 3270 kg/m3
- Space group: Fm-3m (225)

a b c (Å): 4.023 4.023 4.023
angles (deg): 60.00 60.00 60.00
Atoms (fractional coordinates):
H  0.500  0.500  0.500
H  0.750  0.750  0.750
Sr  0.000  0.000  0.000
H  0.250  0.250  0.250

No. 4
VASP calculation (PBE-GGA) on a relaxed structure of Ta2H.

- Corrected total energy (MP2020 scheme): -0.6794 Ry per atom
- Theoretical density: 15325 kg/m3
- Energy above the lowest structure with this stoichiometry: 0.0 kJ per mole of atoms
- Space group: C222 (21)

a b c (Å): 2.937 2.937 4.803
angles (deg): 90.00 90.00 108.34
Atoms (fractional coordinates):
Ta  0.000  0.500  0.265
Ta  0.500  0.000  0.735
H  0.000  0.000  0.000

No. 5
VASP calculation (PBE-GGA) on a relaxed structure of Ta2H.

- Corrected total energy (MP2020 scheme): -0.6766 Ry per atom
- Theoretical density: 15321 kg/m3
- Energy above the lowest structure with this stoichiometry: 3.7 kJ per mole of atoms
- Space group: P-4m2 (115)

a b c (Å): 3.388 3.388 3.427
angles (deg): 90.00 90.00 90.00
Atoms (fractional coordinates):
H  0.000  0.000  0.000
Ta  0.000  0.500  0.260
Ta  0.500  0.000  0.740

No. 6
VASP calculation (PBE-GGA) on a relaxed structure of Ta2H.

- Corrected total energy (MP2020 scheme): -0.6749 Ry per atom
- Theoretical density: 15549 kg/m3
- Energy above the lowest structure with this stoichiometry: 6.0 kJ per mole of atoms
- Space group: C2/m (12)

a b c (Å): 2.932 2.932 4.908
angles (deg): 84.24 84.24 67.68
Atoms (fractional coordinates):
Ta  0.765  0.765  0.263
H  0.500  0.500  0.000
Ta  0.235  0.235  0.737